(1)
DFT (PBE with a Hubbard U) results for a relaxed structure of MgV4O10.

Properties
SG: P-1, No. 2
V in A^3/atom: 12.83
Energy of formation from the pure elements in eV per formula unit: -37.40

Cell: 5.3685 5.0676 7.8594 Å, 107.68 102.05 100.21°
With the nearest neighbours (Å) after each atom.
Fractional positions:
O 0.7706 0.6926 0.9518  2 V 1.74-1.91
O 0.5126 0.9790 0.1988  1 V 1.71
O 0.9406 0.8878 0.6852  1 V 1.75
O 0.2525 0.4430 0.7196  1 V 1.79
O 0.2294 0.3074 0.0482  2 V 1.74-1.91
O 0.0594 0.1122 0.3148  1 V 1.75
O 0.6487 0.3584 0.5473  1 V 1.77
O 0.7475 0.5570 0.2804  1 V 1.79
O 0.3513 0.6417 0.4527  1 V 1.77
O 0.4874 0.0210 0.8012  1 V 1.71
V 0.4059 0.3390 0.2946  2 O 1.77-1.91
V 0.5941 0.6610 0.7054  2 O 1.77-1.91
V 0.2245 0.1654 0.8160  4 O 1.71-1.79
V 0.7755 0.8346 0.1840  4 O 1.71-1.79
Mg 0.0000 0.5000 0.5000  6 O 2.05-2.18

=====

(2)
DFT (PBE with a Hubbard U) results for a relaxed structure of LiMnF4.

Properties
SG: P3_1, No. 144
V in A^3/atom: 12.71
Energy of formation from the pure elements in eV per formula unit: -17.15

Cell: 7.0237 7.0237 10.7111 Å, 90.00 90.00 120.00°
With the nearest neighbours (Å) after each atom.
Fractional positions:
F 0.5482 0.9048 0.8213  1 Li 1.91, 1 Mn 1.92
F 0.6031 0.0307 0.5946  1 Li 1.96, 2 Mn 1.99-2.13
F 0.3566 0.4518 0.4880  1 Li 1.91, 1 Mn 1.92
F 0.2772 0.0048 0.9299  1 Mn 1.86
F 0.6926 0.2597 0.0970  1 Mn 1.87, 1 Li 1.94
F 0.0952 0.6434 0.1546  1 Li 1.91, 1 Mn 1.92
F 0.9693 0.5725 0.9279  1 Li 1.96, 2 Mn 1.99-2.13
F 0.7225 0.6878 0.0717  1 Mn 1.86, 1 Li 1.96
F 0.3122 0.0348 0.4050  1 Mn 1.86, 1 Li 1.96
F 0.9952 0.2724 0.2632  1 Mn 1.86
F 0.9581 0.1298 0.4857  1 Mn 1.98, 1 Li 2.13
F 0.7276 0.7228 0.5966  1 Mn 1.86
F 0.2838 0.4652 0.0204  1 Mn 1.88, 1 Li 2.02
F 0.9045 0.0897 0.9991  1 Mn 1.89, 1 Li 2.02
F 0.5348 0.8186 0.3537  1 Mn 1.88, 1 Li 2.02
F 0.9652 0.2775 0.7383  1 Mn 1.86, 1 Li 1.96
F 0.5671 0.3074 0.7637  1 Mn 1.87, 1 Li 1.94
F 0.1814 0.7162 0.6870  1 Mn 1.88, 1 Li 2.02
F 0.4275 0.3969 0.2612  1 Li 1.96, 2 Mn 1.99-2.13
F 0.1852 0.0955 0.6658  1 Mn 1.89, 1 Li 2.02
F 0.8702 0.8283 0.8191  1 Mn 1.98, 1 Li 2.13
F 0.9103 0.8148 0.3325  1 Mn 1.89, 1 Li 2.02
F 0.1717 0.0419 0.1524  1 Mn 1.98, 1 Li 2.13
F 0.7403 0.4329 0.4303  1 Mn 1.87, 1 Li 1.94
Mn 0.0098 0.8426 0.0116  4 F 1.86-1.99
Mn 0.3780 0.0079 0.7344  4 F 1.87-1.92
Mn 0.1574 0.1671 0.3449  4 F 1.86-1.99
Mn 0.8329 0.9902 0.6783  4 F 1.86-1.99
Mn 0.6299 0.6220 0.4010  4 F 1.87-1.92
Mn 0.9921 0.3701 0.0677  4 F 1.87-1.92
Li 0.5886 0.8421 0.9898  3 F 1.91-2.02
Li 0.1579 0.7465 0.3232  3 F 1.91-2.02
Li 0.4576 0.3284 0.0871  4 F 1.94-2.13
Li 0.8708 0.5424 0.7537  4 F 1.94-2.13
Li 0.6716 0.1292 0.4204  4 F 1.94-2.13
Li 0.2535 0.4114 0.6565  3 F 1.91-2.02

=====

(3)
DFT (PBE with a Hubbard U) results for a relaxed structure of Li3Co2Ni2O8.

Properties
SG: P-1, No. 2
V in A^3/atom: 8.95
Energy of formation from the pure elements in eV per formula unit: -21.59

Cell: 5.7635 5.7654 5.7128 Å, 59.69 60.51 90.27°
With the nearest neighbours (Å) after each atom.
Fractional positions:
O 0.2259 0.2171 0.0242  2 Co 1.90-1.93, 1 Ni 2.01, 2 Li 2.08-2.12
O 0.2408 0.7681 0.4778  1 Co 1.94, 2 Ni 1.94-1.98, 3 Li 2.09-2.16
O 0.7658 0.2294 0.9788  1 Co 1.90, 2 Ni 1.94, 1 Li 2.12
O 0.2100 0.2340 0.5295  2 Co 1.91-1.93, 1 Ni 1.95
O 0.7900 0.7660 0.4705  2 Co 1.91-1.93, 1 Ni 1.95
O 0.7592 0.2319 0.5222  1 Co 1.94, 2 Ni 1.94-1.98, 3 Li 2.09-2.16
O 0.2342 0.7706 0.0212  1 Co 1.90, 2 Ni 1.94, 1 Li 2.12
O 0.7741 0.7829 0.9758  2 Co 1.90-1.93, 1 Ni 2.01, 2 Li 2.08-2.12
Ni 0.0000 0.5000 0.5000  6 O 1.94-1.98
Ni 0.5000 0.0000 0.0000  6 O 1.94-2.01
Li 0.5000 0.5000 0.5000  6 O 2.12-2.16
Li 0.0000 0.5000 0.0000  6 O 2.08-2.15
Li 0.5000 0.0000 0.5000  6 O 2.09-2.15
Co 0.0000 0.0000 0.0000  6 O 1.90-1.91
Co 0.0000 0.0000 0.5000  6 O 1.93-1.94

=====

(4)
DFT (PBE with a Hubbard U) results for a relaxed structure of LiCo2OF3.

Properties
SG: Pm, No. 6
V in A^3/atom: 11.44
Energy of formation from the pure elements in eV per formula unit: -15.43

Cell: 6.1318 6.1292 8.5207 Å, 89.81 90.00 90.00°
With the nearest neighbours (Å) after each atom.
Fractional positions:
Co 0.0000 0.7492 0.3763  4 F 1.95-1.97
Co 0.5000 0.7481 0.1175  2 O 1.95, 2 F 2.02-2.03
Co 0.0000 0.5173 0.0084  2 O 1.97, 3 F 2.11-2.17
Co 0.0000 0.2300 0.6208  1 O 1.90, 3 F 1.98-2.03
Co 0.5000 0.2369 0.8657  1 O 1.87, 3 F 2.02-2.05
Co 0.2583 0.7810 0.7582  3 O 1.97-2.05, 1 F 2.18
Co 0.0000 0.9822 0.9957  3 O 2.03-2.04, 3 F 2.14-2.18
Co 0.7417 0.7810 0.7582  3 O 1.97-2.05, 1 F 2.18
F 0.2637 0.2539 0.4882  3 Li 1.97-2.07, 1 Co 1.98
F 0.5000 0.5134 0.7370  3 Co 2.02-2.22, 1 Li 2.08
F 0.2327 0.2503 0.0108  3 Co 2.05-2.18, 1 Li 2.11
F 0.0000 0.4763 0.2544  2 Co 1.97-2.11, 2 Li 2.14
F 0.0000 0.5102 0.7470  2 Co 2.03-2.23
F 0.7673 0.2503 0.0108  3 Co 2.05-2.18, 1 Li 2.11
F 0.7363 0.2539 0.4882  3 Li 1.97-2.07, 1 Co 1.98
F 0.5000 0.0139 0.2583  1 Co 2.03, 3 Li 2.04-2.07
F 0.0000 0.0156 0.2457  2 Co 1.97-2.14, 2 Li 2.16
F 0.5000 0.4824 0.2588  3 Li 1.99-2.03, 1 Co 2.02
F 0.7358 0.7457 0.5033  1 Co 1.95, 1 Li 2.11
F 0.2642 0.7457 0.5033  1 Co 1.95, 1 Li 2.11
Li 0.5000 0.4951 0.4927  6 F 1.99-2.11
Li 0.7353 0.2484 0.2574  6 F 1.97-2.16
Li 0.2647 0.2484 0.2574  6 F 1.97-2.16
Li 0.5000 0.0126 0.5012  1 O 2.01, 5 F 2.07-2.18
O 0.2302 0.7421 0.9960  4 Co 1.95-2.05
O 0.5000 0.9914 0.7363  3 Co 1.87-1.97, 1 Li 2.01
O 0.0000 0.9837 0.7571  4 Co 1.90-2.03
O 0.7698 0.7421 0.9960  4 Co 1.95-2.05

=====

(5)
DFT (PBE with a Hubbard U) results for a relaxed structure of TlV4O10.

Properties
SG: C2/m, No. 12
V in A^3/atom: 14.35
Energy of formation from the pure elements in eV per formula unit: -33.35

Cell: 3.7138 6.1542 10.0494 Å, 100.10 90.00 107.56°
With the nearest neighbours (Å) after each atom.
Fractional positions:
O 0.9017 0.8033 0.6795  1 V 1.64
O 0.3788 0.7576 0.8702  3 V 1.92-2.00
O 0.1592 0.3185 0.6749  1 V 1.64
O 0.0652 0.1304 0.9048  2 V 1.80-1.89
O 0.7419 0.4837 0.8812  3 V 1.93-2.09
O 0.9348 0.8696 0.0952  2 V 1.80-1.89
O 0.0983 0.1967 0.3205  1 V 1.64
O 0.2581 0.5163 0.1188  3 V 1.93-2.09
O 0.6212 0.2424 0.1298  3 V 1.92-2.00
O 0.8408 0.6815 0.3251  1 V 1.64
V 0.2058 0.4116 0.8387  1 O 1.64
V 0.7942 0.5884 0.1613  1 O 1.64
V 0.9111 0.8221 0.8440  2 O 1.64-1.80
V 0.0889 0.1779 0.1560  2 O 1.64-1.80
Tl 0.5000 0.0000 0.5000  8 O 2.97